(1)
Compound: Pa3Al
Source: the Materials Project
Functional: PBE-GGA
Structure: relaxed

Lattice parameters (Å, degrees): 5.5303 5.5303 5.5303 131.87 131.87 70.43
Sites, in units of the cell vectors:
Pa  0.0000  0.0000  0.0000
Pa  0.2500  0.7500  0.5000
Pa  0.7500  0.2500  0.5000
Al  0.5000  0.5000  0.0000

Results
ΔE to the lowest computed polymorph ... 0 meV/atom
DFT formation energy ... -101 meV per atom
Space group ... I4/mmm, No. 139
Uncorrected energy ... -8.173 eV/atom
Crystal system ... tetragonal

---

(2)
Compound: Cd4SnN4
Source: the Materials Project
Functional: PBE-GGA
Structure: relaxed

Lattice parameters (Å, degrees): 6.0780 6.1083 8.9375 72.37 79.23 68.60
Sites, in units of the cell vectors:
Cd  0.2183  0.3374  0.2929
Cd  0.2435  0.5779  0.9117
Cd  0.2523  0.9990  0.0834
Cd  0.2534  0.7351  0.5030
Cd  0.7466  0.2649  0.4970
Cd  0.7477  0.0010  0.9166
Cd  0.7565  0.4221  0.0883
Cd  0.7817  0.6626  0.7071
Sn  0.2228  0.1326  0.7127
Sn  0.7772  0.8674  0.2873
N  0.0243  0.0226  0.3115
N  0.0550  0.3552  0.8682
N  0.3522  0.3290  0.5073
N  0.4513  0.8342  0.8750
N  0.5487  0.1658  0.1250
N  0.6478  0.6710  0.4927
N  0.9450  0.6448  0.1318
N  0.9757  0.9774  0.6885

Results
Size of the total moment ... 0.0 μB per formula unit
DFT formation energy ... 312 meV per atom
Space group ... P-1, No. 2
Uncorrected energy ... -4.089 eV/atom
Corrected total energy (MP2020 scheme) ... -4.25 eV/atom
Crystal system ... triclinic

---

(3)
Compound: BaTiP2O8
Source: the Materials Project
Functional: PBE-GGA
Structure: relaxed

Lattice parameters (Å, degrees): 4.9157 4.9157 7.8412 93.49 93.49 64.64
Sites, in units of the cell vectors:
Ba  0.0000  0.0000  0.0000
Ti  0.0000  0.0000  0.5000
P  0.3667  0.3667  0.7057
P  0.6333  0.6333  0.2943
O  0.2260  0.2260  0.5652
O  0.2316  0.7130  0.6797
O  0.2870  0.7684  0.3203
O  0.3136  0.3136  0.8883
O  0.6864  0.6864  0.1117
O  0.7130  0.2316  0.6797
O  0.7684  0.2870  0.3203
O  0.7740  0.7740  0.4348

Results
Size of the total moment ... 0.0 μB per formula unit
DFT formation energy ... -3191 meV per atom
Space group ... C2/m, No. 12
Uncorrected energy ... -7.751 eV/atom
Corrected total energy (MP2020 scheme) ... -8.21 eV/atom
Crystal system ... monoclinic

---

(4)
Compound: NaCaZrSbO6
Source: the Materials Project
Functional: PBE-GGA
Structure: relaxed

Lattice parameters (Å, degrees): 5.7443 5.7443 5.7443 60.00 60.00 60.00
Sites, in units of the cell vectors:
Na  0.0000  0.0000  0.0000
Ca  0.5000  0.5000  0.5000
Zr  0.7500  0.7500  0.7500
Sb  0.2500  0.2500  0.2500
O  0.0061  0.0061  0.4939
O  0.0061  0.4939  0.0061
O  0.0061  0.4939  0.4939
O  0.4939  0.0061  0.0061
O  0.4939  0.0061  0.4939
O  0.4939  0.4939  0.0061

Results
Size of the total moment ... 0.0 μB per formula unit
DFT formation energy ... -2781 meV per atom
Space group ... F-43m, No. 216
Uncorrected energy ... -6.938 eV/atom
Corrected total energy (MP2020 scheme) ... -7.35 eV/atom
Crystal system ... cubic

---

(5)
Compound: LiPm2Rh
Source: the Materials Project
Functional: PBE-GGA
Structure: relaxed

Lattice parameters (Å, degrees): 5.0745 5.0745 5.0745 60.00 60.00 60.00
Sites, in units of the cell vectors:
Li  0.0000  0.0000  0.0000
Pm  0.2500  0.2500  0.2500
Pm  0.7500  0.7500  0.7500
Rh  0.5000  0.5000  0.5000

Results
DFT formation energy ... -371 meV per atom
Space group ... Fm-3m, No. 225
Uncorrected energy ... -5.064 eV/atom
Crystal system ... cubic

---

(6)
Compound: GdCdRh2
Source: the Materials Project
Functional: PBE-GGA
Structure: relaxed

Lattice parameters (Å, degrees): 4.7297 4.7297 4.7297 60.00 60.00 60.00
Sites, in units of the cell vectors:
Gd  0.0000  0.0000  0.0000
Cd  0.5000  0.5000  0.5000
Rh  0.2500  0.2500  0.2500
Rh  0.7500  0.7500  0.7500

Results
DFT formation energy ... -528 meV per atom
Space group ... Fm-3m, No. 225
Uncorrected energy ... -7.960 eV/atom
Crystal system ... cubic

---

Which of these has the highest uncorrected energy?
Cd4SnN4